Entry 1:
A relaxed Li3FeMo3O12 crystal, computed with GGA+U.

Cell lengths 10.623, 5.199, 20.607 Å; angles 90.00, 120.19, 90.00 degrees
Element x y z (fractional)
Li 0.000 0.002 0.000
Li 0.000 0.998 0.500
Li 0.107 0.356 0.777
Li 0.107 0.644 0.277
Li 0.567 0.494 0.729
Li 0.567 0.506 0.229
Li 0.571 0.496 0.058
Li 0.571 0.504 0.558
Li 0.658 0.006 0.001
Li 0.658 0.994 0.501
Li 0.662 0.002 0.332
Li 0.662 0.998 0.832
Fe 0.109 0.147 0.279
Fe 0.109 0.853 0.779
Fe 0.207 0.499 0.054
Fe 0.207 0.501 0.554
Mo 0.294 0.032 0.684
Mo 0.294 0.968 0.184
Mo 0.303 0.032 0.972
Mo 0.303 0.968 0.472
Mo 0.477 0.472 0.372
Mo 0.477 0.528 0.872
Mo 0.740 0.025 0.685
Mo 0.740 0.975 0.185
Mo 0.919 0.466 0.087
Mo 0.919 0.534 0.587
Mo 0.928 0.468 0.373
Mo 0.928 0.532 0.873
O 0.019 0.376 0.187
O 0.019 0.624 0.687
O 0.024 0.385 0.323
O 0.024 0.615 0.823
O 0.043 0.342 0.567
O 0.043 0.658 0.067
O 0.051 0.341 0.956
O 0.051 0.659 0.456
O 0.182 0.176 0.104
O 0.182 0.824 0.604
O 0.194 0.180 0.494
O 0.194 0.820 0.994
O 0.197 0.094 0.734
O 0.197 0.906 0.234
O 0.202 0.091 0.872
O 0.202 0.909 0.372
O 0.282 0.382 0.322
O 0.282 0.618 0.822
O 0.344 0.322 0.651
O 0.344 0.678 0.151
O 0.354 0.313 0.035
O 0.354 0.687 0.535
O 0.445 0.161 0.240
O 0.445 0.839 0.740
O 0.455 0.158 0.493
O 0.455 0.842 0.993
O 0.515 0.331 0.812
O 0.515 0.669 0.312
O 0.517 0.337 0.952
O 0.517 0.663 0.452
O 0.595 0.199 0.401
O 0.595 0.801 0.901
O 0.626 0.304 0.657
O 0.626 0.696 0.157
O 0.695 0.165 0.105
O 0.695 0.835 0.605
O 0.697 0.171 0.242
O 0.697 0.829 0.742
O 0.771 0.333 0.568
O 0.771 0.667 0.068
O 0.778 0.330 0.818
O 0.778 0.670 0.318
O 0.857 0.200 0.025
O 0.857 0.800 0.525
O 0.871 0.192 0.401
O 0.871 0.808 0.901
O 0.940 0.092 0.736
O 0.940 0.908 0.236

***

Entry 2:
A relaxed Li2Fe3Mo3O12 crystal, computed with GGA+U.

Cell lengths 5.233, 10.673, 18.500 Å; angles 90.00, 90.00, 90.00 degrees
Element x y z (fractional)
Li 0.120 0.250 0.120
Li 0.232 0.750 0.734
Li 0.268 0.250 0.234
Li 0.380 0.750 0.620
Li 0.620 0.250 0.380
Li 0.732 0.750 0.766
Li 0.768 0.250 0.266
Li 0.880 0.750 0.880
Fe 0.104 0.250 0.749
Fe 0.239 0.570 0.526
Fe 0.239 0.930 0.526
Fe 0.261 0.070 0.026
Fe 0.261 0.430 0.026
Fe 0.396 0.750 0.249
Fe 0.604 0.250 0.751
Fe 0.739 0.570 0.974
Fe 0.739 0.930 0.974
Fe 0.761 0.070 0.474
Fe 0.761 0.430 0.474
Fe 0.896 0.750 0.251
Mo 0.189 0.750 0.059
Mo 0.213 0.025 0.349
Mo 0.213 0.475 0.349
Mo 0.287 0.525 0.849
Mo 0.287 0.975 0.849
Mo 0.311 0.250 0.559
Mo 0.689 0.750 0.441
Mo 0.713 0.025 0.151
Mo 0.713 0.475 0.151
Mo 0.787 0.525 0.651
Mo 0.787 0.975 0.651
Mo 0.811 0.250 0.941
O 0.064 0.250 0.017
O 0.075 0.617 0.629
O 0.075 0.883 0.629
O 0.076 0.631 0.801
O 0.076 0.869 0.801
O 0.077 0.022 0.926
O 0.077 0.478 0.926
O 0.089 0.115 0.536
O 0.089 0.385 0.536
O 0.145 0.616 0.296
O 0.145 0.884 0.296
O 0.147 0.750 0.158
O 0.353 0.250 0.658
O 0.355 0.116 0.796
O 0.355 0.384 0.796
O 0.411 0.615 0.036
O 0.411 0.885 0.036
O 0.423 0.522 0.426
O 0.423 0.978 0.426
O 0.424 0.131 0.301
O 0.424 0.369 0.301
O 0.425 0.117 0.129
O 0.425 0.383 0.129
O 0.436 0.750 0.517
O 0.564 0.250 0.483
O 0.575 0.617 0.871
O 0.575 0.883 0.871
O 0.576 0.631 0.699
O 0.576 0.869 0.699
O 0.577 0.022 0.574
O 0.577 0.478 0.574
O 0.589 0.115 0.964
O 0.589 0.385 0.964
O 0.645 0.616 0.204
O 0.645 0.884 0.204
O 0.647 0.750 0.342
O 0.853 0.250 0.842
O 0.855 0.116 0.704
O 0.855 0.384 0.704
O 0.911 0.615 0.464
O 0.911 0.885 0.464
O 0.923 0.522 0.074
O 0.923 0.978 0.074
O 0.924 0.131 0.199
O 0.924 0.369 0.199
O 0.925 0.117 0.371
O 0.925 0.383 0.371
O 0.936 0.750 0.983

***

Entry 3:
A relaxed LiFeMo2O8 crystal, computed with GGA+U.

Cell lengths 6.868, 7.262, 7.488 Å; angles 91.02, 110.18, 105.01 degrees
Element x y z (fractional)
Li 0.227 0.051 0.248
Li 0.773 0.949 0.752
Fe 0.404 0.601 0.819
Fe 0.596 0.399 0.181
Mo 0.178 0.534 0.285
Mo 0.333 0.077 0.787
Mo 0.667 0.923 0.213
Mo 0.822 0.466 0.715
O 0.094 0.987 0.831
O 0.111 0.549 0.843
O 0.242 0.541 0.538
O 0.253 0.076 0.540
O 0.281 0.772 0.241
O 0.311 0.368 0.225
O 0.425 0.340 0.889
O 0.481 0.887 0.844
O 0.519 0.113 0.156
O 0.575 0.660 0.111
O 0.689 0.632 0.775
O 0.719 0.228 0.759
O 0.747 0.924 0.460
O 0.758 0.459 0.462
O 0.889 0.451 0.157
O 0.906 0.013 0.169

***

Number 1: total DFT energy (no corrections) -6.61 eV/atom. Number 2: total DFT energy (no corrections) -6.65 eV/atom. Number 3: total DFT energy (no corrections) -6.78 eV/atom.